Record 1
The following is a DFT calculation (PBE) of crystalline Zn8P18N36Cl3 at its relaxed geometry.

Cell lengths 26.182, 8.339, 8.283 Å; angles 90.00, 108.17, 90.00 degrees
Space group C2 (No. 5)
Symmetry-distinct sites (fractional):
Zn (0.057, 0.000, 0.388) x4
Zn (0.106, 0.509, 0.286) x4
Zn (0.107, 0.149, 0.929) x4
Zn (0.226, 0.506, 0.047) x4
P (0.000, 0.078, 0.000) x2
P (0.000, 0.578, 0.000) x2
P (0.001, 0.327, 0.750) x4
P (0.083, 0.327, 0.584) x4
P (0.083, 0.826, 0.083) x4
P (0.166, 0.578, 0.668) x4
P (0.166, 0.824, 0.916) x4
P (0.167, 0.077, 0.665) x4
P (0.168, 0.828, 0.417) x4
P (0.250, 0.325, 0.745) x4
N (0.029, 0.186, 0.889) x4
N (0.029, 0.464, 0.167) x4
N (0.046, 0.405, 0.684) x4
N (0.046, 0.691, 0.966) x4
N (0.047, 0.969, 0.134) x4
N (0.048, 0.241, 0.404) x4
N (0.120, 0.185, 0.705) x4
N (0.120, 0.742, 0.260) x4
N (0.120, 0.915, 0.982) x4
N (0.121, 0.463, 0.535) x4
N (0.138, 0.967, 0.497) x4
N (0.139, 0.687, 0.779) x4
N (0.192, 0.693, 0.560) x4
N (0.195, 0.965, 0.835) x4
N (0.212, 0.188, 0.632) x4
N (0.213, 0.464, 0.798) x4
N (0.213, 0.740, 0.074) x4
N (0.214, 0.907, 0.355) x4
Cl (0.000, 0.856, 0.500) x2
Cl (0.162, 0.340, 0.147) x4

**Energy of formation from the pure elements**: -8.753 kcal/mol of atoms
**MP2020-corrected energy**: -875.70 eV for the cell shown
**Raw total energy**: -6.708 eV/atom

---

Record 2
The following is a DFT calculation (PBE) of crystalline TbMn2 at its relaxed geometry.

Cell lengths 7.256, 7.256, 7.256 Å; angles 90.00, 90.00, 90.00 degrees
Space group Fd-3m (No. 227, origin choice 2)
Symmetry-distinct sites (fractional):
Tb (0.125, 0.125, 0.125) x8
Mn (0.000, 0.000, 0.500) x16

**Energy of formation from the pure elements**: 3.774 kcal/mol of atoms
**Raw total energy**: -7.489 eV/atom

---

Record 3
The following is a DFT calculation (PBE) of crystalline HoInRh at its relaxed geometry.

Cell lengths 7.5157, 7.5157, 3.9280 Å; angles 90.00, 90.00, 120.00 degrees
Space group P-62m (No. 189)
Symmetry-distinct sites (fractional):
Ho (0.0000, 0.4060, 0.0000) x3
In (0.0000, 0.7424, 0.5000) x3
Rh (0.0000, 0.0000, 0.0000) x1
Rh (0.3333, 0.6667, 0.5000) x2

**Energy of formation from the pure elements**: -17.361 kcal/mol of atoms
**Raw total energy**: -5.652 eV/atom